A plane-wave DFT calculation with PBE with a Hubbard U was carried out for a geometry-optimized Li4Co9O18 structure.

```
Li4Co9O18
1.0
8.697 0.000 0.000
0.000 2.823 0.000
-0.116 0.000 23.943
Li Co O
8 18 36
Cartesian
1.472 0.000 0.163
1.703 0.000 19.076
2.528 0.000 7.092
2.780 0.000 12.131
5.801 0.000 11.812
6.053 0.000 16.851
6.879 0.000 4.867
7.109 0.000 23.780
-0.058 0.000 11.971
0.035 0.000 21.411
0.089 0.000 16.517
1.175 1.411 9.884
1.244 1.411 4.571
3.006 1.411 16.535
3.023 1.411 21.851
4.162 0.000 4.554
4.165 0.000 9.440
4.349 0.000 0.000
4.416 0.000 14.503
4.419 0.000 19.389
5.559 1.411 2.092
5.575 1.411 7.408
7.338 1.411 19.372
7.407 1.411 14.059
8.492 0.000 7.426
8.546 0.000 2.532
-0.045 0.000 10.082
8.626 0.000 13.861
0.271 1.411 1.378
0.355 1.411 20.122
0.865 0.000 5.725
0.938 1.411 8.004
1.220 1.411 11.778
1.219 1.411 17.095
1.543 0.000 3.364
1.794 0.000 21.843
2.399 0.000 9.856
2.711 0.000 15.329
3.032 1.411 5.122
2.967 1.411 23.778
3.278 1.411 19.984
3.379 0.000 17.695
3.858 1.411 8.148
4.005 1.411 13.359
4.315 0.000 1.855
4.266 0.000 22.088
4.576 1.411 10.583
4.723 1.411 15.794
5.203 0.000 6.248
5.303 1.411 3.959
5.615 1.411 0.165
5.550 1.411 18.820
5.870 0.000 8.614
6.182 0.000 14.087
6.787 0.000 2.100
7.039 0.000 20.579
7.362 1.411 6.848
7.361 1.411 12.165
7.643 1.411 15.939
7.716 0.000 18.218
8.226 1.411 3.821
8.310 1.411 22.565
```

Values from the calculation:
Electronic total energy ... -5.66 eV per atom
M_tot ... 0.290 μB/atom

***

A plane-wave DFT calculation with PBE with a Hubbard U was carried out for a geometry-optimized Na2Ni7O14 structure.

```
Na2Ni7O14
1.0
4.844 0.000 0.000
-1.542 6.320 0.000
-0.744 -1.762 8.810
Na Ni O
2 7 14
Cartesian
0.015 1.264 2.524
2.543 3.295 6.286
-0.771 3.160 0.000
-0.757 4.439 2.509
0.863 -0.542 5.047
0.907 0.741 7.564
1.651 3.818 1.246
1.695 5.101 3.763
3.315 0.120 6.301
-0.710 0.387 4.653
-0.707 1.614 7.125
0.068 -0.751 6.778
0.047 4.664 0.808
0.829 2.310 0.459
1.599 -0.379 3.273
0.804 3.495 2.858
1.754 1.063 5.952
0.959 4.938 5.537
1.729 2.249 8.351
2.511 -0.106 8.002
2.491 5.309 2.032
3.265 2.944 1.685
3.268 4.172 4.157
```

Values from the calculation:
Electronic total energy ... -4.67 eV per atom
M_tot ... 0.087 μB/atom

***

no.,theoretical density (kg/m³)
1,4781
2,4191